i) CeNi4Sn2: relaxed, PBE-GGA.

a = 7.625 Å, b = 7.625 Å, c = 7.995 Å
α = 90.00°, β = 90.00°, γ = 90.00°
Space group I4/mcm (No. 140)
Inequivalent atoms, fractional coordinates:
1 Ce 0.000 0.000 0.250 [4 per cell]
2 Ni 0.140 0.360 0.166 [16 per cell]
3 Sn 0.159 0.341 0.500 [8 per cell]

- Crystal system: tetragonal
- Density: 8.7 g/cm3

ii) CeNi4Sn2: relaxed, PBE-GGA.

a = 7.115 Å, b = 7.115 Å, c = 7.557 Å
α = 90.00°, β = 90.00°, γ = 90.00°
Space group I-4c2 (No. 120)
Inequivalent atoms, fractional coordinates:
1 Ce 0.000 0.000 0.250 [4 per cell]
2 Ni 0.135 0.352 0.333 [16 per cell]
3 Sn 0.157 0.343 0.000 [8 per cell]

- Crystal system: tetragonal
- Density: 10.6 g/cm3

Which structure is most stable? i), by 328 meV/atom over the runner-up.

i) CeP3O14: relaxed, PBE-GGA.

a = 7.351 Å, b = 12.752 Å, c = 15.581 Å
α = 90.00°, β = 90.00°, γ = 90.00°
Space group P2_12_12_1 (No. 19)
Inequivalent atoms, fractional coordinates:
1 Ce 0.042 0.023 0.061 [4 per cell]
2 P 0.038 0.390 0.892 [4 per cell]
3 P 0.194 0.990 0.777 [4 per cell]
4 P 0.236 0.718 0.581 [4 per cell]
5 O 0.005 0.847 0.337 [4 per cell]
6 O 0.054 0.160 0.687 [4 per cell]
7 O 0.056 0.770 0.621 [4 per cell]
8 O 0.063 0.090 0.754 [4 per cell]
9 O 0.088 0.956 0.556 [4 per cell]
10 O 0.137 0.202 0.046 [4 per cell]
11 O 0.160 0.476 0.384 [4 per cell]
12 O 0.173 0.040 0.208 [4 per cell]
13 O 0.173 0.325 0.177 [4 per cell]
14 O 0.179 0.850 0.997 [4 per cell]
15 O 0.191 0.623 0.528 [4 per cell]
16 O 0.201 0.857 0.079 [4 per cell]
17 O 0.223 0.412 0.647 [4 per cell]
18 O 0.241 0.609 0.072 [4 per cell]

- Crystal system: orthorhombic
- Density: 2.1 g/cm3

ii) CeP3O14: relaxed, PBE-GGA.

a = 12.926 Å, b = 13.531 Å, c = 6.687 Å
α = 90.00°, β = 90.00°, γ = 90.00°
Space group P2_12_12 (No. 18)
Inequivalent atoms, fractional coordinates:
1 Ce 0.231 0.205 0.307 [4 per cell]
2 P 0.023 0.811 0.539 [4 per cell]
3 P 0.153 0.121 0.790 [4 per cell]
4 P 0.194 0.953 0.523 [4 per cell]
5 O 0.033 0.147 0.737 [4 per cell]
6 O 0.056 0.215 0.381 [4 per cell]
7 O 0.076 0.582 0.147 [4 per cell]
8 O 0.084 0.906 0.455 [4 per cell]
9 O 0.089 0.593 0.966 [4 per cell]
10 O 0.097 0.732 0.605 [4 per cell]
11 O 0.158 0.399 0.859 [4 per cell]
12 O 0.161 0.338 0.999 [4 per cell]
13 O 0.163 0.005 0.733 [4 per cell]
14 O 0.163 0.127 0.012 [4 per cell]
15 O 0.222 0.032 0.374 [4 per cell]
16 O 0.222 0.182 0.657 [4 per cell]
17 O 0.228 0.802 0.947 [4 per cell]
18 O 0.231 0.371 0.437 [4 per cell]

- Crystal system: orthorhombic
- Density: 2.6 g/cm3

Which structure is most stable? ii), by 689 meV/atom over the runner-up.

i) Ce2S3O18: relaxed, PBE-GGA.

a = 15.022 Å, b = 7.055 Å, c = 15.715 Å
α = 90.00°, β = 93.61°, γ = 90.00°
Space group C2/c (No. 15)
Inequivalent atoms, fractional coordinates:
1 Ce 0.081 0.024 0.079 [8 per cell]
2 S 0.000 0.268 0.750 [4 per cell]
3 S 0.194 0.473 0.581 [8 per cell]
4 O 0.018 0.202 0.351 [8 per cell]
5 O 0.045 0.096 0.952 [8 per cell]
6 O 0.046 0.400 0.812 [8 per cell]
7 O 0.066 0.145 0.710 [8 per cell]
8 O 0.141 0.356 0.091 [8 per cell]
9 O 0.143 0.312 0.547 [8 per cell]
10 O 0.226 0.495 0.908 [8 per cell]
11 O 0.231 0.058 0.360 [8 per cell]
12 O 0.240 0.040 0.014 [8 per cell]

- Crystal system: monoclinic
- Density: 2.7 g/cm3

ii) Ce2S3O18: relaxed, PBE-GGA.

a = 15.542 Å, b = 6.905 Å, c = 15.728 Å
α = 90.00°, β = 94.20°, γ = 90.00°
Space group C2/c (No. 15)
Inequivalent atoms, fractional coordinates:
1 Ce 0.167 0.010 0.131 [8 per cell]
2 S 0.000 0.280 0.750 [4 per cell]
3 S 0.210 0.480 0.575 [8 per cell]
4 O 0.020 0.107 0.126 [8 per cell]
5 O 0.023 0.017 0.969 [8 per cell]
6 O 0.049 0.389 0.816 [8 per cell]
7 O 0.065 0.145 0.713 [8 per cell]
8 O 0.152 0.309 0.568 [8 per cell]
9 O 0.160 0.348 0.097 [8 per cell]
10 O 0.215 0.056 0.361 [8 per cell]
11 O 0.249 0.487 0.993 [8 per cell]
12 O 0.250 0.027 0.224 [8 per cell]

- Crystal system: monoclinic
- Density: 2.6 g/cm3

Which structure is most stable? ii), by 22 meV/atom over the runner-up.

i) Sr2CeSnO6: relaxed, PBE-GGA.

a = 8.551 Å, b = 8.551 Å, c = 8.551 Å
α = 90.00°, β = 90.00°, γ = 90.00°
Space group Fm-3m (No. 225)
Inequivalent atoms, fractional coordinates:
1 Sr 0.250 0.250 0.250 [8 per cell]
2 Ce 0.000 0.000 0.000 [4 per cell]
3 Sn 0.000 0.000 0.500 [4 per cell]
4 O 0.000 0.000 0.258 [24 per cell]

- Crystal system: cubic
- Density: 5.6 g/cm3

ii) Sr2CeSnO6: relaxed, PBE-GGA.

a = 8.483 Å, b = 8.483 Å, c = 8.483 Å
α = 90.00°, β = 90.00°, γ = 90.00°
Space group Pn-3 (No. 201, origin choice 2)
Inequivalent atoms, fractional coordinates:
1 Sr 0.250 0.250 0.250 [2 per cell]
2 Sr 0.250 0.250 0.750 [6 per cell]
3 Ce 0.000 0.000 0.000 [4 per cell]
4 Sn 0.000 0.000 0.500 [4 per cell]
5 O 0.033 0.540 0.758 [24 per cell]

- Crystal system: cubic
- Density: 5.8 g/cm3

Which structure is most stable? ii), by 52 meV/atom over the runner-up.

i) Sr2CeZrO6: relaxed, PBE-GGA.

a = 8.534 Å, b = 8.534 Å, c = 8.534 Å
α = 90.00°, β = 90.00°, γ = 90.00°
Space group Pn-3 (No. 201, origin choice 2)
Inequivalent atoms, fractional coordinates:
1 Sr 0.250 0.250 0.250 [2 per cell]
2 Sr 0.250 0.250 0.750 [6 per cell]
3 Ce 0.000 0.000 0.000 [4 per cell]
4 Zr 0.000 0.000 0.500 [4 per cell]
5 O 0.037 0.544 0.757 [24 per cell]

- Crystal system: cubic
- Density: 5.4 g/cm3

ii) Sr2CeZrO6: relaxed, PBE-GGA.

a = 8.628 Å, b = 8.628 Å, c = 8.628 Å
α = 90.00°, β = 90.00°, γ = 90.00°
Space group Fm-3m (No. 225)
Inequivalent atoms, fractional coordinates:
1 Sr 0.250 0.250 0.250 [8 per cell]
2 Ce 0.000 0.000 0.000 [4 per cell]
3 Zr 0.000 0.000 0.500 [4 per cell]
4 O 0.000 0.000 0.257 [24 per cell]

- Crystal system: cubic
- Density: 5.2 g/cm3

Which structure is most stable? i), by 76 meV/atom over the runner-up.